The following is a PBE calculation of EuP3 after structural relaxation, from the Materials Project database.

```
data_EuP3
_chemical_formula_sum 'Eu2 P6'
_cell_length_a 5.773
_cell_length_b 5.773
_cell_length_c 5.516
_cell_angle_alpha 107.59
_cell_angle_beta 107.59
_cell_angle_gamma 77.65
_space_group_name_H-M_alt 'P 1'
_space_group_IT_number 1
loop_
_space_group_symop_operation_xyz
'x,y,z'
loop_
_atom_site_label
_atom_site_fract_x
_atom_site_fract_y
_atom_site_fract_z
_atom_site_occupancy
Eu1 0.164 0.164 0.344 1
Eu2 0.836 0.836 0.656 1
P1 0.099 0.624 0.186 1
P2 0.376 0.901 0.814 1
P3 0.495 0.495 0.205 1
P4 0.505 0.505 0.795 1
P5 0.624 0.099 0.186 1
P6 0.901 0.376 0.814 1
```

## Properties
E_tot in eV/atom: -7.308
SG: No. 12
Formation energy in eV per atom: -0.68